## Ta2W2O11 (PBE with a Hubbard U)

Data for a geometry-optimized Ta2W2O11 structure.

Output
The electronic total energy is -255.03 eV per cell. The total magnetic moment comes out at 0.00 μB per formula unit. For the MP2020-corrected energy, the calculation gives -287.89 eV per cell. As for the formation enthalpy at 0 K: -2.659 eV per atom. Its volume is 594.9 Å³ per cell.

Cell: 7.3435 7.3435 13.9353 Å, 69.72 69.72 59.73°
Fractional coordinates of all 30 atoms:
1 O 0.2295 0.5746 0.4837
2 O 0.9069 0.8861 0.1456
3 W 0.9909 0.4978 0.0129
4 O 0.7180 0.7241 0.9762
5 O 0.4940 0.9133 0.1460
6 Ta 0.0070 0.4734 0.5404
7 O 0.2824 0.9091 0.0242
8 O 0.7899 0.3995 0.5286
9 Ta 0.6919 0.7789 0.2284
10 O 0.1139 0.0931 0.8544
11 O 0.4149 0.3806 0.6504
12 O 0.2289 0.2105 0.4910
13 W 0.0067 0.9933 0.0000
14 O 0.4678 0.1155 0.8489
15 O 0.8845 0.5322 0.1511
16 O 0.7238 0.0893 0.9715
17 O 0.6005 0.2101 0.4714
18 O 0.9107 0.2762 0.0285
19 O 0.0867 0.5060 0.8540
20 O 0.4254 0.7705 0.5163
21 Ta 0.5266 0.9930 0.4596
22 O 0.0170 0.4040 0.6812
23 W 0.5196 0.4804 0.5000
24 O 0.0909 0.7176 0.9758
25 Ta 0.2211 0.3081 0.7716
26 W 0.5022 0.0091 0.9871
27 O 0.2759 0.2820 0.0238
28 O 0.7895 0.7711 0.5090
29 O 0.6194 0.5851 0.3496
30 O 0.5960 0.9830 0.3188